1.
TbCdRh2 | meta-GGA r2SCAN | relaxed

Summary:
uncorrected energy: -25.5055 eV per atom
DFT formation energy: -58.3 kJ per mole of atoms

Cell and atoms, written as CIF:
```
data_TbCdRh2
_chemical_formula_sum 'Tb4 Cd4 Rh8'
_symmetry_space_group_name_H-M 'F m -3 m'
_symmetry_Int_Tables_number 225
_symmetry_space_group_name_Hall '-F 4 2 3'
_cell_length_a 6.6015
_cell_length_b 6.6015
_cell_length_c 6.6015
_cell_angle_alpha 90.00
_cell_angle_beta 90.00
_cell_angle_gamma 90.00
loop_
_atom_site_label
_atom_site_fract_x
_atom_site_fract_y
_atom_site_fract_z
_atom_site_occupancy
Tb1 0.0000 0.0000 0.0000 1
Cd1 0.0000 0.0000 0.5000 1
Rh1 0.2500 0.2500 0.2500 1
```


2.
TmCdRh2 | meta-GGA r2SCAN | relaxed

Summary:
uncorrected energy: -26.5429 eV per atom
DFT formation energy: -64.5 kJ per mole of atoms

Cell and atoms, written as CIF:
```
data_TmCdRh2
_chemical_formula_sum 'Tm4 Cd4 Rh8'
_symmetry_space_group_name_H-M 'F m -3 m'
_symmetry_Int_Tables_number 225
_symmetry_space_group_name_Hall '-F 4 2 3'
_cell_length_a 6.5336
_cell_length_b 6.5336
_cell_length_c 6.5336
_cell_angle_alpha 90.00
_cell_angle_beta 90.00
_cell_angle_gamma 90.00
loop_
_atom_site_label
_atom_site_fract_x
_atom_site_fract_y
_atom_site_fract_z
_atom_site_occupancy
Tm1 0.0000 0.0000 0.0000 1
Cd1 0.0000 0.0000 0.5000 1
Rh1 0.2500 0.2500 0.2500 1
```


3.
Y4CdRu | meta-GGA r2SCAN | relaxed

Summary:
uncorrected energy: -21.4624 eV per atom
DFT formation energy: -32.0 kJ per mole of atoms

Cell and atoms, written as CIF:
```
data_Y4CdRu
_chemical_formula_sum 'Y64 Cd16 Ru16'
_symmetry_space_group_name_H-M 'F -4 3 m'
_symmetry_Int_Tables_number 216
_symmetry_space_group_name_Hall 'F -4 2 3'
_cell_length_a 13.6235
_cell_length_b 13.6235
_cell_length_c 13.6235
_cell_angle_alpha 90.00
_cell_angle_beta 90.00
_cell_angle_gamma 90.00
loop_
_atom_site_label
_atom_site_fract_x
_atom_site_fract_y
_atom_site_fract_z
_atom_site_occupancy
Y1 0.0000 0.0000 0.1890 1
Y2 0.0603 0.2500 0.7500 1
Y3 0.0969 0.0969 0.4031 1
Cd1 0.1706 0.1706 0.1706 1
Ru1 0.1107 0.1107 0.6107 1
```


Which of these has the highest DFT formation energy?
Y4CdRu


Which of these has the lowest DFT formation energy?
TmCdRh2


Number 2 is which compound?
TmCdRh2